Entry from the Materials Project database: crystalline K4Si23 at its relaxed geometry (PBE-GGA).

Cell and atoms, written as POSCAR:
```
K4Si23
1.0
10.348 0.000 0.000
0.000 10.348 0.000
0.000 0.000 10.348
K Si
8 46
direct
0.000 0.000 0.000
0.000 0.250 0.500
0.000 0.750 0.500
0.250 0.500 0.000
0.500 0.000 0.250
0.500 0.000 0.750
0.500 0.500 0.500
0.750 0.500 0.000
0.000 0.307 0.119
0.000 0.307 0.881
0.000 0.500 0.250
0.000 0.500 0.750
0.000 0.693 0.119
0.000 0.693 0.881
0.119 0.000 0.307
0.119 0.000 0.693
0.185 0.185 0.185
0.185 0.185 0.815
0.185 0.815 0.185
0.185 0.815 0.815
0.193 0.500 0.381
0.193 0.500 0.619
0.250 0.000 0.500
0.307 0.119 0.000
0.307 0.881 0.000
0.315 0.315 0.315
0.315 0.315 0.685
0.315 0.685 0.315
0.315 0.685 0.685
0.381 0.193 0.500
0.381 0.807 0.500
0.500 0.250 0.000
0.500 0.381 0.193
0.500 0.381 0.807
0.500 0.619 0.193
0.500 0.619 0.807
0.500 0.750 0.000
0.619 0.193 0.500
0.619 0.807 0.500
0.685 0.315 0.315
0.685 0.315 0.685
0.685 0.685 0.315
0.685 0.685 0.685
0.693 0.119 0.000
0.693 0.881 0.000
0.750 0.000 0.500
0.807 0.500 0.381
0.807 0.500 0.619
0.815 0.185 0.185
0.815 0.185 0.815
0.815 0.815 0.185
0.815 0.815 0.815
0.881 0.000 0.307
0.881 0.000 0.693
```

Values from the calculation:
- Space group: Pm-3n
- ΔE_f: 48.2 meV per atom